# Zn2Co4P4O23 (PBE+U, optimized geometry)
data_Zn2Co4P4O23
_cell_length_a 7.9568
_cell_length_b 12.7058
_cell_length_c 17.6384
_cell_angle_alpha 90.00
_cell_angle_beta 102.28
_cell_angle_gamma 90.00
_symmetry_space_group_name_H-M 'P 1'
_symmetry_Int_Tables_number 1
loop_
_symmetry_equiv_pos_as_xyz
'x,y,z'
loop_
_atom_site_label
_atom_site_type_symbol
_atom_site_fract_x
_atom_site_fract_y
_atom_site_fract_z
Zn1 Zn 0.2304 0.2176 0.0444
Zn2 Zn 0.2304 0.2824 0.5444
Zn3 Zn 0.2509 0.0213 0.9475
Zn4 Zn 0.2509 0.4787 0.4475
Zn5 Zn 0.7491 0.5213 0.5525
Zn6 Zn 0.7491 0.9787 0.0525
Zn7 Zn 0.7696 0.7176 0.4556
Zn8 Zn 0.7696 0.7824 0.9556
Co1 Co 0.1880 0.5491 0.7401
Co2 Co 0.1880 0.9509 0.2401
Co3 Co 0.1888 0.0420 0.7537
Co4 Co 0.1888 0.4580 0.2537
Co5 Co 0.3066 0.7194 0.2535
Co6 Co 0.3066 0.7806 0.7535
Co7 Co 0.3146 0.2128 0.2492
Co8 Co 0.3146 0.2872 0.7492
Co9 Co 0.6854 0.7128 0.2508
Co10 Co 0.6854 0.7872 0.7508
Co11 Co 0.6934 0.2194 0.2465
Co12 Co 0.6934 0.2806 0.7465
Co13 Co 0.8112 0.5420 0.7463
Co14 Co 0.8112 0.9580 0.2463
Co15 Co 0.8120 0.0491 0.7599
Co16 Co 0.8120 0.4509 0.2599
P1 P 0.0548 0.6364 0.3657
P2 P 0.0548 0.8636 0.8657
P3 P 0.0598 0.2284 0.8618
P4 P 0.0598 0.2716 0.3618
P5 P 0.4447 0.0410 0.1343
P6 P 0.4447 0.4590 0.6343
P7 P 0.4463 0.1048 0.6438
P8 P 0.4463 0.3952 0.1438
P9 P 0.5537 0.6048 0.8562
P10 P 0.5537 0.8952 0.3562
P11 P 0.5553 0.5410 0.3657
P12 P 0.5553 0.9590 0.8657
P13 P 0.9402 0.7284 0.6382
P14 P 0.9402 0.7716 0.1382
P15 P 0.9452 0.1364 0.1343
P16 P 0.9452 0.3636 0.6343
O1 O 0.0335 0.5257 0.3248
O2 O 0.0335 0.9743 0.8248
O3 O 0.0446 0.5694 0.8012
O4 O 0.0446 0.9306 0.3012
O5 O 0.0514 0.1567 0.3784
O6 O 0.0514 0.3433 0.8784
O7 O 0.1203 0.6848 0.6826
O8 O 0.1203 0.8152 0.1826
O9 O 0.1241 0.1898 0.1388
O10 O 0.1241 0.3102 0.6388
O11 O 0.1263 0.1624 0.9386
O12 O 0.1263 0.3376 0.4386
O13 O 0.1391 0.6140 0.4508
O14 O 0.1391 0.8860 0.9508
O15 O 0.1507 0.5593 0.9676
O16 O 0.1507 0.9407 0.4676
O17 O 0.1575 0.6509 0.9987
O18 O 0.1575 0.8491 0.4987
O19 O 0.1649 0.7097 0.3262
O20 O 0.1649 0.7903 0.8262
O21 O 0.1860 0.1983 0.8067
O22 O 0.1860 0.3017 0.3067
O23 O 0.2334 0.5862 0.2191
O24 O 0.2334 0.9138 0.7191
O25 O 0.2703 0.0806 0.2792
O26 O 0.2703 0.4194 0.7792
O27 O 0.3028 0.6988 0.0144
O28 O 0.3028 0.8012 0.5144
O29 O 0.3183 0.1318 0.6997
O30 O 0.3183 0.3682 0.1997
O31 O 0.3182 0.5327 0.6621
O32 O 0.3182 0.9673 0.1621
O33 O 0.3729 0.6431 0.8069
O34 O 0.3729 0.8569 0.3069
O35 O 0.3746 0.0742 0.0483
O36 O 0.3746 0.4258 0.5483
O37 O 0.3794 0.0158 0.8599
O38 O 0.3794 0.4842 0.3599
O39 O 0.3887 0.1693 0.5698
O40 O 0.3887 0.3307 0.0698
O41 O 0.4519 0.7383 0.1932
O42 O 0.4519 0.7617 0.6932
O43 O 0.4564 0.5128 0.1311
O44 O 0.4564 0.9872 0.6311
O45 O 0.4699 0.1468 0.1793
O46 O 0.4699 0.3532 0.6793
O47 O 0.5301 0.6468 0.3207
O48 O 0.5301 0.8532 0.8207
O49 O 0.5436 0.0128 0.3689
O50 O 0.5436 0.4872 0.8689
O51 O 0.5481 0.2383 0.3068
O52 O 0.5481 0.2617 0.8068
O53 O 0.6113 0.6693 0.9302
O54 O 0.6113 0.8307 0.4302
O55 O 0.6206 0.5158 0.6401
O56 O 0.6206 0.9842 0.1401
O57 O 0.6254 0.5742 0.4517
O58 O 0.6254 0.9258 0.9517
O59 O 0.6271 0.1431 0.6931
O60 O 0.6271 0.3569 0.1931
O61 O 0.6818 0.0327 0.8379
O62 O 0.6818 0.4673 0.3379
O63 O 0.6817 0.6318 0.8003
O64 O 0.6817 0.8682 0.3003
O65 O 0.6972 0.1988 0.4856
O66 O 0.6972 0.3012 0.9856
O67 O 0.7297 0.5806 0.2208
O68 O 0.7297 0.9194 0.7208
O69 O 0.7666 0.0862 0.2809
O70 O 0.7666 0.4138 0.7809
O71 O 0.8140 0.6983 0.6933
O72 O 0.8140 0.8017 0.1933
O73 O 0.8351 0.2097 0.1738
O74 O 0.8351 0.2903 0.6738
O75 O 0.8425 0.1509 0.5013
O76 O 0.8425 0.3491 0.0013
O77 O 0.8493 0.0593 0.5324
O78 O 0.8493 0.4407 0.0324
O79 O 0.8609 0.1140 0.0492
O80 O 0.8609 0.3860 0.5492
O81 O 0.8737 0.6624 0.5614
O82 O 0.8737 0.8376 0.0614
O83 O 0.8759 0.6898 0.3612
O84 O 0.8759 0.8102 0.8612
O85 O 0.8797 0.1848 0.8174
O86 O 0.8797 0.3152 0.3174
O87 O 0.9486 0.6567 0.1216
O88 O 0.9486 0.8433 0.6216
O89 O 0.9554 0.0694 0.6988
O90 O 0.9554 0.4306 0.1988
O91 O 0.9665 0.0257 0.1752
O92 O 0.9665 0.4743 0.6752
# - Space group: P2_1/c

# Ca3Co2Te2O12 (PBE+U, optimized geometry)
data_Ca3Co2Te2O12
_cell_length_a 5.3870
_cell_length_b 5.5048
_cell_length_c 7.8199
_cell_angle_alpha 90.60
_cell_angle_beta 90.87
_cell_angle_gamma 92.03
_symmetry_space_group_name_H-M 'P 1'
_symmetry_Int_Tables_number 1
loop_
_symmetry_equiv_pos_as_xyz
'x,y,z'
loop_
_atom_site_label
_atom_site_type_symbol
_atom_site_fract_x
_atom_site_fract_y
_atom_site_fract_z
Ca1 Ca 0.0000 0.0000 0.0000
Ca2 Ca 0.0185 0.9014 0.4975
Ca3 Ca 0.4907 0.3918 0.5013
Co1 Co 0.5127 0.9407 0.7641
Co2 Co 0.9975 0.4492 0.2315
Te1 Te 0.0095 0.4529 0.7542
Te2 Te 0.5084 0.9336 0.2442
O1 O 0.0973 0.4247 0.9910
O2 O 0.2094 0.1711 0.7020
O3 O 0.2309 0.1431 0.2900
O4 O 0.2942 0.6543 0.3043
O5 O 0.3006 0.6662 0.6945
O6 O 0.4184 0.9232 0.0061
O7 O 0.5935 0.9693 0.4870
O8 O 0.7196 0.2297 0.7857
O9 O 0.7280 0.2313 0.2102
O10 O 0.8120 0.7611 0.2136
O11 O 0.8314 0.7490 0.7850
O12 O 0.9196 0.4683 0.5110
# - Space group: P1

# MgCr7S12O48 (PBE+U, optimized geometry)
data_MgCr7S12O48
_cell_length_a 8.2976
_cell_length_b 8.8473
_cell_length_c 14.3796
_cell_angle_alpha 74.32
_cell_angle_beta 89.99
_cell_angle_gamma 62.06
_symmetry_space_group_name_H-M 'P 1'
_symmetry_Int_Tables_number 1
loop_
_symmetry_equiv_pos_as_xyz
'x,y,z'
loop_
_atom_site_label
_atom_site_type_symbol
_atom_site_fract_x
_atom_site_fract_y
_atom_site_fract_z
Mg1 Mg 0.0000 0.0000 0.0000
Cr1 Cr 0.1884 0.6197 0.3969
Cr2 Cr 0.2385 0.5242 0.7463
Cr3 Cr 0.4305 0.1399 0.1421
Cr4 Cr 0.5000 0.0034 0.5000
Cr5 Cr 0.6928 0.6181 0.8966
Cr6 Cr 0.7397 0.5233 0.2462
Cr7 Cr 0.9299 0.1394 0.6450
S1 S 0.0482 0.3234 0.4479
S2 S 0.3791 0.8210 0.6959
S3 S 0.4475 0.8196 0.3416
S4 S 0.4477 0.8177 0.0516
S5 S 0.4822 0.3230 0.3010
S6 S 0.4848 0.3240 0.5905
S7 S 0.5474 0.3239 0.9470
S8 S 0.8817 0.8177 0.1973
S9 S 0.9448 0.8182 0.5534
S10 S 0.9467 0.8184 0.8423
S11 S 0.9842 0.3217 0.7999
S12 S 0.9866 0.3229 0.0913
O1 O 0.0093 0.6733 0.6485
O2 O 0.0123 0.8330 0.1333
O3 O 0.0179 0.1535 0.0798
O4 O 0.0350 0.1517 0.8743
O5 O 0.0761 0.4697 0.4638
O6 O 0.0829 0.7759 0.4854
O7 O 0.1311 0.3697 0.8112
O8 O 0.1320 0.6776 0.8312
O9 O 0.1591 0.3095 0.1325
O10 O 0.2055 0.9948 0.6722
O11 O 0.2240 0.1524 0.4713
O12 O 0.2777 0.8336 0.0117
O13 O 0.2976 0.4660 0.3090
O14 O 0.3000 0.7740 0.3295
O15 O 0.3457 0.6782 0.6793
O16 O 0.3474 0.3687 0.6581
O17 O 0.3956 0.9926 0.2659
O18 O 0.4127 0.3107 0.0130
O19 O 0.4149 0.9905 0.0645
O20 O 0.4191 0.4669 0.4939
O21 O 0.4572 0.7761 0.7983
O22 O 0.4617 0.8391 0.4399
O23 O 0.4675 0.3718 0.8441
O24 O 0.4692 0.3036 0.2026
O25 O 0.5108 0.8387 0.6297
O26 O 0.5132 0.6758 0.1492
O27 O 0.5215 0.1493 0.5794
O28 O 0.5344 0.1496 0.3762
O29 O 0.5777 0.4716 0.9620
O30 O 0.5892 0.7740 0.9851
O31 O 0.6291 0.3687 0.3137
O32 O 0.6317 0.6760 0.3338
O33 O 0.6576 0.3085 0.6315
O34 O 0.7049 0.9894 0.1731
O35 O 0.7197 0.1545 0.9692
O36 O 0.7719 0.8354 0.5110
O37 O 0.7995 0.4681 0.8091
O38 O 0.7995 0.7731 0.8252
O39 O 0.8478 0.3717 0.1586
O40 O 0.8490 0.6727 0.1826
O41 O 0.8958 0.9929 0.7667
O42 O 0.9083 0.9911 0.5666
O43 O 0.9173 0.3020 0.5128
O44 O 0.9209 0.4691 0.9955
O45 O 0.9518 0.7771 0.3016
O46 O 0.9624 0.8325 0.9398
O47 O 0.9630 0.3111 0.6994
O48 O 0.9724 0.3668 0.3453
# - Space group: P1
# - Energy above the most stable polymorph in this dataset: 0 meV per atom

# Li4Mn7O16 (PBE+U, optimized geometry)
data_Li4Mn7O16
_cell_length_a 7.6152
_cell_length_b 7.6152
_cell_length_c 5.2213
_cell_angle_alpha 102.20
_cell_angle_beta 102.20
_cell_angle_gamma 98.00
_symmetry_space_group_name_H-M 'P 1'
_symmetry_Int_Tables_number 1
loop_
_symmetry_equiv_pos_as_xyz
'x,y,z'
loop_
_atom_site_label
_atom_site_type_symbol
_atom_site_fract_x
_atom_site_fract_y
_atom_site_fract_z
Li1 Li 0.1269 0.8731 0.0000
Li2 Li 0.2519 0.2519 0.9920
Li3 Li 0.7481 0.7481 0.0080
Li4 Li 0.8731 0.1269 0.0000
Mn1 Mn 0.1217 0.3688 0.5049
Mn2 Mn 0.2451 0.7549 0.5000
Mn3 Mn 0.3688 0.1217 0.5049
Mn4 Mn 0.5000 0.5000 0.5000
Mn5 Mn 0.6312 0.8783 0.4951
Mn6 Mn 0.7549 0.2451 0.5000
Mn7 Mn 0.8783 0.6312 0.4951
O1 O 0.0082 0.7395 0.2834
O2 O 0.1151 0.6248 0.7041
O3 O 0.1474 0.1474 0.2749
O4 O 0.2595 0.5049 0.3038
O5 O 0.2605 0.9918 0.7166
O6 O 0.3647 0.3647 0.7087
O7 O 0.3752 0.8849 0.2959
O8 O 0.4951 0.7405 0.6962
O9 O 0.5049 0.2595 0.3038
O10 O 0.6248 0.1151 0.7041
O11 O 0.6353 0.6353 0.2913
O12 O 0.7395 0.0082 0.2834
O13 O 0.7405 0.4951 0.6962
O14 O 0.8526 0.8526 0.7251
O15 O 0.8849 0.3752 0.2959
O16 O 0.9918 0.2605 0.7166
# - Space group: C2/m

no.,electronic total energy (eV per atom)
1,-5.977
2,-5.923
3,-6.570
4,-6.689